[1]
Below is crystalline Ti3Zn2O8 at its relaxed geometry, with properties calculated at the r²SCAN level.

Structure (extended XYZ):
```
52
Lattice="8.388 0.000 0.000 0.000 8.388 0.000 0.000 0.000 8.388" Properties=species:S:1:pos:R:3 pbc="T T T"
Ti 0.956 3.145 3.053
Ti 1.048 5.335 5.150
Ti 1.141 7.432 7.339
Ti 3.053 0.956 3.145
Ti 3.145 3.053 0.956
Ti 3.238 5.242 7.246
Ti 5.150 1.048 5.335
Ti 5.242 7.246 3.238
Ti 5.335 5.150 1.048
Ti 7.246 3.238 5.242
Ti 7.339 1.141 7.432
Ti 7.432 7.339 1.141
Zn 0.044 4.238 8.344
Zn 2.053 2.141 6.247
Zn 2.141 6.247 2.053
Zn 4.150 4.150 4.150
Zn 4.238 8.344 0.044
Zn 6.247 2.053 2.141
Zn 6.334 6.334 6.334
Zn 8.344 0.044 4.238
O 0.894 7.214 0.911
O 0.911 0.894 7.214
O 0.915 3.279 5.109
O 0.924 7.184 5.380
O 1.173 5.105 3.300
O 1.186 3.270 1.203
O 1.182 5.375 7.206
O 1.203 1.186 3.270
O 2.990 7.202 7.464
O 3.012 3.012 3.012
O 3.008 5.117 5.397
O 3.021 3.283 7.494
O 3.270 1.203 1.186
O 3.279 5.109 0.915
O 3.283 7.494 3.021
O 3.300 1.173 5.105
O 5.087 5.367 7.476
O 5.109 0.915 3.279
O 5.105 3.300 1.173
O 5.117 5.397 3.008
O 5.367 7.476 5.087
O 5.380 0.924 7.184
O 5.375 7.206 1.182
O 5.397 3.008 5.117
O 7.184 5.380 0.924
O 7.206 1.182 5.375
O 7.202 7.464 2.990
O 7.214 0.911 0.894
O 7.464 2.990 7.202
O 7.476 5.087 5.367
O 7.472 7.472 7.472
O 7.494 3.021 3.283
```

Computed properties:
- Space group: P4_332, No. 212
- Energy of formation from the pure elements: -2.82 eV per atom
- Magnetization: 0.00 Bohr magnetons per cell

***

[2]
Below is crystalline ZrTi2O at its relaxed geometry, with properties calculated at the r²SCAN level.

Structure (extended XYZ):
```
4
Lattice="2.329 -4.204 0.000 2.329 4.204 0.000 0.000 0.000 3.025" Properties=species:S:1:pos:R:3 pbc="T T T"
Zr 0.000 0.000 0.000
Ti 2.329 1.445 1.513
Ti 2.329 -1.445 1.513
O 2.329 0.000 0.000
```

Computed properties:
- Space group: Cmmm, No. 65
- Energy of formation from the pure elements: -1.56 eV per atom
- Magnetization: 0.00 Bohr magnetons per cell

***

[3]
Below is crystalline Tl4O3 at its relaxed geometry, with properties calculated at the r²SCAN level.

Structure (extended XYZ):
```
14
Lattice="7.747 0.000 0.000 0.000 3.503 0.000 -3.648 0.000 10.446" Properties=species:S:1:pos:R:3 pbc="T T T"
Tl -0.875 0.876 4.092
Tl 0.959 2.627 1.609
Tl -1.073 0.876 9.037
Tl 0.981 2.627 6.559
Tl 3.118 0.876 3.887
Tl 5.172 2.627 1.409
Tl 3.140 0.876 8.838
Tl 4.973 2.627 6.354
O -2.817 2.627 8.583
O -1.159 0.876 6.361
O 0.618 2.627 4.180
O 3.480 0.876 6.266
O 5.258 2.627 4.086
O 6.916 0.876 1.863
```

Computed properties:
- Space group: P2_1/m, No. 11
- Energy of formation from the pure elements: -0.74 eV per atom
- Magnetization: 0.00 Bohr magnetons per cell

***

[4]
Below is crystalline UTl2O4 at its relaxed geometry, with properties calculated at the r²SCAN level.

Structure (extended XYZ):
```
7
Lattice="-2.166 2.166 6.951 2.166 -2.166 6.951 2.166 2.166 -6.951" Properties=species:S:1:pos:R:3 pbc="T T T"
U 0.000 0.000 0.000
Tl 0.000 0.000 4.776
Tl 0.000 0.000 9.125
O 2.166 0.000 0.000
O 0.000 0.000 1.937
O 0.000 2.166 0.000
O 0.000 0.000 11.965
```

Computed properties:
- Space group: I4/mmm, No. 139
- Energy of formation from the pure elements: -2.30 eV per atom
- Magnetization: 0.00 Bohr magnetons per cell

***

[5]
Below is crystalline TlV3O8 at its relaxed geometry, with properties calculated at the r²SCAN level.

Structure (extended XYZ):
```
24
Lattice="5.016 0.000 0.000 0.000 8.403 0.000 -1.079 0.000 7.724" Properties=species:S:1:pos:R:3 pbc="T T T"
Tl -0.345 2.101 3.387
Tl 4.283 6.302 4.338
V -0.632 2.101 7.149
V 2.027 4.654 1.429
V 2.027 7.951 1.429
V 1.911 0.452 6.295
V 1.911 3.749 6.295
V 4.570 6.302 0.575
O 0.349 5.039 1.783
O -0.401 6.302 7.144
O 0.349 7.566 1.783
O 0.519 0.736 7.680
O 0.519 3.466 7.680
O 1.258 2.101 5.743
O 1.394 4.751 5.141
O 1.394 7.853 5.141
O 2.543 0.550 2.583
O 2.543 3.652 2.583
O 2.679 6.302 1.981
O 3.418 4.937 0.044
O 3.418 7.668 0.044
O 3.588 0.837 5.941
O 4.338 2.101 0.580
O 3.588 3.364 5.941
```

Computed properties:
- Space group: P2_1/m, No. 11
- Energy of formation from the pure elements: -2.30 eV per atom
- Magnetization: 0.00 Bohr magnetons per cell

***

[6]
Below is crystalline Tl2V8O21 at its relaxed geometry, with properties calculated at the r²SCAN level.

Structure (extended XYZ):
```
31
Lattice="7.609 -1.780 0.000 7.609 1.780 0.000 -0.071 0.000 14.978" Properties=species:S:1:pos:R:3 pbc="T T T"
Tl 0.395 0.000 4.686
Tl 14.752 0.000 10.293
V 2.856 0.000 1.077
V 4.684 0.000 4.020
V 4.990 0.000 7.127
V 6.210 0.000 1.106
V 8.937 0.000 13.872
V 10.156 0.000 7.851
V 10.463 0.000 10.959
V 12.291 0.000 13.901
O 1.665 0.000 2.147
O 1.736 0.000 14.264
O 2.450 0.000 11.120
O 3.161 0.000 7.932
O 3.224 0.000 4.695
O 4.323 0.000 2.095
O 4.588 0.000 14.479
O 5.815 0.000 5.589
O 6.145 0.000 8.258
O 6.863 0.000 2.592
O 7.609 0.000 0.000
O 8.284 0.000 12.386
O 9.002 0.000 6.720
O 9.331 0.000 9.389
O 10.559 0.000 0.499
O 10.823 0.000 12.884
O 11.923 0.000 10.284
O 11.986 0.000 7.046
O 12.697 0.000 3.859
O 13.411 0.000 0.714
O 13.482 0.000 12.832
```

Computed properties:
- Space group: C2/m, No. 12
- Energy of formation from the pure elements: -2.32 eV per atom
- Magnetization: 0.00 Bohr magnetons per cell

***

[7]
Below is crystalline Tl2V3O8 at its relaxed geometry, with properties calculated at the r²SCAN level.

Structure (extended XYZ):
```
26
Lattice="8.915 0.000 0.000 0.000 8.915 0.000 0.000 0.000 5.418" Properties=species:S:1:pos:R:3 pbc="T T T"
Tl 1.526 2.931 0.000
Tl 2.931 7.389 0.000
Tl 5.984 1.526 0.000
Tl 7.389 5.984 0.000
V 0.000 0.000 2.919
V 1.202 5.659 2.854
V 3.256 1.202 2.854
V 4.458 4.458 2.919
V 5.659 7.714 2.854
V 7.714 3.256 2.854
O 0.000 0.000 1.303
O 0.000 4.458 3.471
O 0.771 7.209 3.476
O 1.188 5.646 1.205
O 1.706 0.771 3.476
O 2.751 5.228 3.476
O 3.270 1.188 1.205
O 3.687 2.751 3.476
O 4.458 0.000 3.471
O 4.458 4.458 1.303
O 5.228 6.164 3.476
O 5.646 7.727 1.205
O 6.164 3.687 3.476
O 7.209 8.145 3.476
O 7.727 3.270 1.205
O 8.145 1.706 3.476
```

Computed properties:
- Space group: P4bm, No. 100
- Energy of formation from the pure elements: -2.21 eV per atom
- Magnetization: 2.00 Bohr magnetons per cell

***

[8]
Below is crystalline Tl3V5O14 at its relaxed geometry, with properties calculated at the r²SCAN level.

Structure (extended XYZ):
```
22
Lattice="8.709 0.000 0.000 -4.354 7.542 0.000 0.000 0.000 5.130" Properties=species:S:1:pos:R:3 pbc="T T T"
Tl -2.660 4.607 0.000
Tl 1.695 2.935 0.000
Tl 5.319 0.000 0.000
V -0.994 1.722 2.656
V 1.988 0.000 2.656
V 0.000 5.028 2.694
V 4.354 2.514 2.694
V 3.360 5.820 2.656
O -1.073 1.859 1.047
O -3.624 6.277 3.018
O 0.730 1.265 3.018
O -0.541 3.479 3.293
O 2.147 0.000 1.047
O -1.070 6.271 3.293
O 0.000 5.028 1.049
O 3.284 1.271 3.293
O 1.612 5.333 3.293
O 4.354 2.514 1.049
O 3.813 4.063 3.293
O 3.281 5.683 1.047
O 5.966 2.208 3.293
O 7.249 0.000 3.018
```

Computed properties:
- Space group: P31m, No. 157
- Energy of formation from the pure elements: -2.21 eV per atom
- Magnetization: 0.00 Bohr magnetons per cell

***

[9]
Below is crystalline Tl4V2O7 at its relaxed geometry, with properties calculated at the r²SCAN level.

Structure (extended XYZ):
```
13
Lattice="5.959 0.000 0.000 -2.979 5.161 0.000 0.000 0.000 7.724" Properties=species:S:1:pos:R:3 pbc="T T T"
Tl 0.000 3.440 0.601
Tl 0.000 3.440 4.534
Tl 2.979 1.720 3.190
Tl 2.979 1.720 7.122
V 0.000 0.000 2.059
V 0.000 0.000 5.664
O 0.000 0.000 3.862
O 0.000 1.616 6.195
O -1.580 4.352 6.195
O 1.400 0.808 1.528
O 1.580 4.352 6.195
O 4.559 0.808 1.528
O 2.979 3.544 1.528
```

Computed properties:
- Space group: P-3m1, No. 164
- Energy of formation from the pure elements: -1.85 eV per atom
- Magnetization: 0.00 Bohr magnetons per cell

***

[10]
Below is crystalline Tl3VO4 at its relaxed geometry, with properties calculated at the r²SCAN level.

Structure (extended XYZ):
```
8
Lattice="-2.948 4.110 3.235 2.948 -4.110 3.235 2.948 4.110 -3.235" Properties=species:S:1:pos:R:3 pbc="T T T"
Tl 0.000 0.000 0.000
Tl 2.948 2.176 0.143
Tl 0.000 1.934 3.378
V 0.000 4.110 0.255
O 2.948 -1.420 2.524
O 2.948 1.420 2.524
O 1.452 4.110 1.210
O 1.496 0.000 4.444
```

Computed properties:
- Space group: Imm2, No. 44
- Energy of formation from the pure elements: -1.67 eV per atom
- Magnetization: 0.00 Bohr magnetons per cell

***

[11]
Below is crystalline Tl2WO4 at its relaxed geometry, with properties calculated at the r²SCAN level.

Structure (extended XYZ):
```
14
Lattice="6.225 0.000 0.000 -3.113 5.391 0.000 0.000 0.000 8.339" Properties=species:S:1:pos:R:3 pbc="T T T"
Tl 0.000 0.000 0.000
Tl 0.000 0.000 4.169
Tl 0.000 3.594 2.674
Tl 3.113 1.797 5.665
W 0.000 3.594 6.813
W 3.113 1.797 1.526
O 0.000 1.916 6.192
O -1.453 4.433 6.192
O 0.000 3.594 0.270
O 1.659 0.958 2.147
O 1.453 4.433 6.192
O 3.113 1.797 8.068
O 4.566 0.958 2.147
O 3.113 3.475 2.147
```

Computed properties:
- Space group: P-3m1, No. 164
- Energy of formation from the pure elements: -1.73 eV per atom
- Magnetization: 0.00 Bohr magnetons per cell

***

[12]
Below is crystalline TlW3O9 at its relaxed geometry, with properties calculated at the r²SCAN level.

Structure (extended XYZ):
```
13
Lattice="7.409 0.000 0.000 -3.705 6.416 0.000 0.000 0.000 3.818" Properties=species:S:1:pos:R:3 pbc="T T T"
Tl 0.000 0.000 0.000
W -1.852 3.208 2.159
W 3.705 0.000 2.159
W 1.852 3.208 2.159
O -1.852 3.208 0.253
O 0.000 2.706 2.164
O -1.361 5.064 2.164
O 2.343 1.353 2.164
O 3.705 0.000 0.253
O 1.852 3.208 0.253
O 1.361 5.064 2.164
O 5.066 1.353 2.164
O 3.705 3.711 2.164
```

Computed properties:
- Space group: P6mm, No. 183
- Energy of formation from the pure elements: -2.18 eV per atom
- Magnetization: 0.00 Bohr magnetons per cell

***

| no. | total DFT energy (no corrections) (eV/cell) |
| --- | --- |
| 1 | -564.10 |
| 2 | -60.85 |
| 3 | -471.63 |
| 4 | -226.32 |
| 5 | -341.66 |
| 6 | -416.45 |
| 7 | -450.33 |
| 8 | -362.21 |
| 9 | -306.77 |
| 10 | -210.86 |
| 11 | -387.44 |
| 12 | -289.37 |